The following is a DFT calculation (r²SCAN) of Ti5Ga4 after structural relaxation.

Geometry as extended XYZ:
```
18
Lattice="7.834 0.000 0.000 -3.917 6.785 0.000 0.000 0.000 5.420" Properties=species:S:1:pos:R:3 pbc="T T T"
Ga 2.427 4.204 4.065
Ga 4.855 0.000 1.355
Ga 1.490 2.580 1.355
Ti 3.917 2.262 0.000
Ga -2.427 4.204 1.355
Ti 0.000 4.523 2.710
Ga 0.000 0.000 0.000
Ti 0.000 4.523 0.000
Ti 2.819 4.882 1.355
Ti -1.099 1.903 1.355
Ti 2.197 0.000 1.355
Ga 0.000 0.000 2.710
Ti 1.099 1.903 4.065
Ga -1.490 2.580 4.065
Ga 2.979 0.000 4.065
Ti 3.917 2.262 2.710
Ti 5.637 0.000 4.065
Ti -2.819 4.882 4.065
```

Values from the calculation:
Theoretical density: 5.97 g/cm3
E_form: -0.4969 eV per atom
Space group: No. 193


The following is a DFT calculation (r²SCAN) of Rb2Te5 after structural relaxation.

Geometry as extended XYZ:
```
7
Lattice="-0.858 -2.027 5.375 3.206 -6.701 0.859 5.898 1.451 4.363" Properties=species:S:1:pos:R:3 pbc="T T T"
Te 5.891 -1.460 5.308
Te 0.000 0.000 0.000
Te 4.479 -5.737 3.470
Te 3.767 -1.541 7.129
Rb 2.591 -2.399 3.590
Rb 5.655 -4.879 7.008
Te 2.355 -5.818 5.290
```

Values from the calculation:
Theoretical density: 4.77 g/cm3
E_form: -0.6472 eV per atom
Space group: No. 12


The following is a DFT calculation (r²SCAN) of CaMg2C3O9 after structural relaxation.

Geometry as extended XYZ:
```
30
Lattice="-2.376 3.175 -2.606 -2.838 4.054 3.207 8.966 8.013 1.586" Properties=species:S:1:pos:R:3 pbc="T T T"
O 1.493 6.623 0.047
Mg 4.184 7.695 1.248
O 2.404 8.626 2.039
O 5.941 6.854 0.593
O 7.264 8.910 2.252
O -1.446 5.433 0.477
Mg 2.166 7.231 -1.798
O 2.388 10.306 0.558
O 0.953 1.998 0.208
O 3.286 5.754 1.050
O 0.369 4.303 -1.395
C 4.321 9.228 -1.355
C 2.016 5.717 0.791
O 5.236 9.505 1.548
O 2.755 13.488 1.898
O 1.269 4.810 1.320
C 1.752 9.497 1.324
C -2.727 5.484 0.536
O -3.379 6.355 -0.179
C 6.507 9.711 1.593
O -1.943 2.745 -0.561
Ca 3.995 11.497 1.723
O 5.603 12.687 2.887
Ca -0.488 7.491 0.930
O 0.471 9.548 1.382
Mg -0.304 3.695 0.450
Mg 0.055 0.056 0.010
O 3.806 8.182 -0.786
C -0.153 5.210 -2.138
O 0.132 6.996 3.145
```

Values from the calculation:
Theoretical density: 2.92 g/cm3
E_form: -2.2624 eV per atom
Energy above the lowest structure with this stoichiometry: 0.011 eV per atom
Space group: No. 15


The following is a DFT calculation (r²SCAN) of SrAcGa2 after structural relaxation.

Geometry as extended XYZ:
```
4
Lattice="0.000 3.909 3.909 3.909 0.000 3.909 3.909 3.909 0.000" Properties=species:S:1:pos:R:3 pbc="T T T"
Ac 3.909 3.909 3.909
Ga 1.955 1.955 1.955
Sr 0.000 0.000 0.000
Ga 5.864 5.864 5.864
```

Values from the calculation:
Theoretical density: 6.31 g/cm3
E_form: -0.4372 eV per atom
Space group: No. 225


Sequential energy output: -229.864; -159.478; -265.814; -108.417 eV per cell